[1]
The following is a GGA-PBE calculation of a relaxed CaTi2O6 crystal, from Materials Project.

Values from the calculation:
- energy relative to the elements (eV per atom) = -2.968
- MP2020-corrected energy (eV per atom) = -8.244

abc: 5.1967 5.1967 4.9864
angles: 90.00 90.00 120.00
Closest atoms and distances in Å follow each position.
Fractional positions:
1 O 0.6375 0.6375 0.2887  2 Ti 1.97
2 O 0.0000 0.3625 0.2887  2 Ti 1.97
3 O 0.0000 0.6375 0.7113  2 Ti 1.97
4 O 0.3625 0.0000 0.2887  2 Ti 1.97
5 O 0.3625 0.3625 0.7113  2 Ti 1.97
6 O 0.6375 0.0000 0.7113  2 Ti 1.97
7 Ti 0.3333 0.6667 0.5000  6 O 1.97
8 Ti 0.6667 0.3333 0.5000  6 O 1.97
9 Ca 0.0000 0.0000 0.0000  6 O 2.37



[2]
The following is a GGA-PBE calculation of a relaxed CaTi2O4 crystal, from Materials Project.

Values from the calculation:
- energy relative to the elements (eV per atom) = -3.222
- energy above the lowest structure with this stoichiometry (meV per atom) = 124.0
- MP2020-corrected energy (eV per atom) = -8.592

abc: 6.3843 6.3843 20.7002
angles: 79.57 79.57 57.59
Closest atoms and distances in Å follow each position.
Fractional positions:
1 O 0.5121 0.0657 0.3113  2 Ti 1.97-2.03, 1 Ca 2.18
2 O 0.3036 0.3036 0.5649  1 Ti 1.94
3 O 0.4475 0.4475 0.1900  2 Ti 1.95-2.17
4 O 0.7006 0.7006 0.4301  3 Ti 1.98-2.20
5 O 0.1764 0.1764 0.4382  1 Ti 1.93
6 O 0.2663 0.8063 0.0624  2 Ti 2.00-2.03, 1 Ca 2.19
7 O 0.9444 0.9444 0.6853  3 Ti 1.96-2.19
8 O 0.5304 0.0726 0.8177  1 Ti 1.84
9 O 0.8063 0.2663 0.0624  2 Ti 2.00-2.03, 1 Ca 2.19
10 O 0.1819 0.7211 0.4307  1 Ti 1.87
11 O 0.9641 0.4320 0.6844  1 Ti 1.86
12 O 0.8185 0.2868 0.5659  1 Ti 1.86
13 O 0.0657 0.5121 0.3113  2 Ti 1.97-2.03, 1 Ca 2.18
14 O 0.1905 0.6953 0.9416  2 Ti 1.89-2.10
15 O 0.7211 0.1819 0.4307  1 Ti 1.87
16 O 0.0726 0.0726 0.8132  3 Ti 1.96-2.10
17 O 0.8239 0.8239 0.5624  3 Ti 1.94-2.15
18 O 0.4468 0.9455 0.1893  1 Ti 1.89
19 O 0.0726 0.5304 0.8177  1 Ti 1.84
20 O 0.1938 0.1938 0.9450  4 Ti 1.95-2.18
21 O 0.5446 0.5446 0.8161  1 Ti 1.88
22 O 0.4264 0.4264 0.6880  1 Ti 1.93
23 O 0.0894 0.0894 0.3146  3 Ti 2.05-2.14, 1 Ca 2.24
24 O 0.9238 0.9238 0.1758  2 Ti 2.01, 1 Ca 2.19
25 O 0.5720 0.5720 0.3131  1 Ti 1.90
26 O 0.6717 0.6717 0.9196  2 Ti 2.02, 2 Ca 2.21-2.25
27 O 0.2868 0.8185 0.5659  1 Ti 1.86
28 O 0.3204 0.3204 0.0638  1 Ti 1.88
29 O 0.4320 0.9641 0.6844  1 Ti 1.86
30 O 0.9455 0.4468 0.1893  1 Ti 1.89
31 O 0.8324 0.8324 0.0670  3 Ti 2.10-2.15, 1 Ca 2.24
32 O 0.6953 0.1905 0.9416  2 Ti 1.89-2.10
33 Ca 0.1224 0.1224 0.1240  6 O 2.25-2.31
34 Ca 0.8732 0.8732 0.8749  6 O 2.25-2.33
35 Ca 0.7428 0.7428 0.7543  6 O 2.30-2.41
36 Ca 0.6247 0.6247 0.6254  6 O 2.29-2.34
37 Ca 0.6602 0.6602 0.0275  4 O 2.19-2.24
38 Ca 0.9100 0.9100 0.2829  4 O 2.18-2.24
39 Ca 0.4999 0.4999 0.4993  6 O 2.29-2.40
40 Ca 0.3727 0.3727 0.3749  6 O 2.24-2.33
41 Ti 0.1198 0.6292 0.6258  6 O 2.10-2.26
42 Ti 0.0047 0.0047 0.9976  6 O 2.03-2.17
43 Ti 0.6023 0.6023 0.2196  4 O 1.89-1.95
44 Ti 0.3518 0.3518 0.9710  4 O 1.88-1.95
45 Ti 0.6292 0.1198 0.6258  6 O 2.10-2.26
46 Ti 0.3792 0.8798 0.3722  6 O 1.97-2.20
47 Ti 0.6215 0.1296 0.1259  5 O 2.00-2.16
48 Ti 0.2591 0.2591 0.2442  6 O 2.03-2.17
49 Ti 0.1518 0.1518 0.5332  4 O 1.86-1.94
50 Ti 0.8798 0.3792 0.3722  6 O 1.97-2.20
51 Ti 0.1296 0.6215 0.1259  5 O 2.00-2.16
52 Ti 0.4000 0.4000 0.7833  4 O 1.84-1.93
53 Ti 0.3404 0.8968 0.8816  5 O 2.02-2.20
54 Ti 0.8968 0.3404 0.8816  5 O 2.02-2.20
55 Ti 0.0979 0.0979 0.7167  4 O 1.86-1.96
56 Ti 0.8504 0.8504 0.4666  4 O 1.87-1.98



[3]
The following is a GGA-PBE calculation of a relaxed CaTi2O4 crystal, from Materials Project.

Values from the calculation:
- energy relative to the elements (eV per atom) = -3.262
- energy above the lowest structure with this stoichiometry (meV per atom) = 84.5
- MP2020-corrected energy (eV per atom) = -8.632

abc: 6.3118 6.3118 6.3118
angles: 121.12 121.12 88.08
Closest atoms and distances in Å follow each position.
Fractional positions:
1 Ti 0.8750 0.1250 0.7500  6 O 2.08
2 Ti 0.8750 0.1250 0.2500  6 O 2.08
3 Ti 0.3750 0.1250 0.2500  6 O 2.08
4 Ti 0.8750 0.6250 0.7500  6 O 2.08
5 Ca 0.2500 0.7500 0.5000  4 O 2.19
6 Ca 0.5000 0.5000 0.0000  4 O 2.19
7 O 0.6462 0.3662 0.7201  3 Ti 2.08, 1 Ca 2.19
8 O 0.1038 0.3239 0.2201  3 Ti 2.08, 1 Ca 2.19
9 O 0.1038 0.8838 0.7799  3 Ti 2.08, 1 Ca 2.19
10 O 0.6462 0.9261 0.2799  3 Ti 2.08, 1 Ca 2.19
11 O 0.1162 0.8962 0.2201  3 Ti 2.08, 1 Ca 2.19
12 O 0.6761 0.8962 0.7799  3 Ti 2.08, 1 Ca 2.19
13 O 0.6338 0.3538 0.2799  3 Ti 2.08, 1 Ca 2.19
14 O 0.0739 0.3538 0.7201  3 Ti 2.08, 1 Ca 2.19



[4]
The following is a GGA-PBE calculation of a relaxed CaTi2O4 crystal, from Materials Project.

Values from the calculation:
- energy relative to the elements (eV per atom) = -3.302
- energy above the lowest structure with this stoichiometry (meV per atom) = 44.7
- MP2020-corrected energy (eV per atom) = -8.671

abc: 2.9950 9.4191 10.9346
angles: 90.00 90.00 90.00
Closest atoms and distances in Å follow each position.
Fractional positions:
1 Ca 0.7500 0.7596 0.1575  8 O 2.37-2.63
2 Ca 0.2500 0.2404 0.8425  8 O 2.37-2.63
3 Ca 0.7500 0.2596 0.3425  8 O 2.37-2.63
4 Ca 0.2500 0.7404 0.6575  8 O 2.37-2.63
5 O 0.2500 0.0888 0.4251  3 Ti 2.02-2.10
6 O 0.7500 0.2092 0.6613  3 Ti 2.06-2.12
7 O 0.7500 0.9112 0.5749  3 Ti 2.02-2.10
8 O 0.7500 0.0213 0.2181  3 Ti 2.04-2.05
9 O 0.7500 0.5213 0.2819  3 Ti 2.04-2.05
10 O 0.2500 0.4787 0.7181  3 Ti 2.04-2.05
11 O 0.2500 0.2908 0.1613  3 Ti 2.06-2.12
12 O 0.2500 0.3820 0.4729  3 Ti 2.06-2.09
13 O 0.7500 0.4112 0.9251  3 Ti 2.02-2.10
14 O 0.2500 0.5888 0.0749  3 Ti 2.02-2.10
15 O 0.7500 0.1180 0.9729  3 Ti 2.06-2.09
16 O 0.2500 0.9787 0.7819  3 Ti 2.04-2.05
17 O 0.7500 0.6180 0.5271  3 Ti 2.06-2.09
18 O 0.2500 0.8820 0.0271  3 Ti 2.06-2.09
19 O 0.2500 0.7908 0.3387  3 Ti 2.06-2.12
20 O 0.7500 0.7092 0.8387  3 Ti 2.06-2.12
21 Ti 0.2500 0.0828 0.1027  6 O 2.04-2.09
22 Ti 0.2500 0.0625 0.6086  6 O 2.02-2.12
23 Ti 0.7500 0.9172 0.8973  6 O 2.04-2.09
24 Ti 0.2500 0.5828 0.3973  6 O 2.04-2.09
25 Ti 0.7500 0.4375 0.1086  6 O 2.02-2.12
26 Ti 0.2500 0.5625 0.8914  6 O 2.02-2.12
27 Ti 0.7500 0.9375 0.3914  6 O 2.02-2.12
28 Ti 0.7500 0.4172 0.6027  6 O 2.04-2.09



Q: Among the records above, which one has the highest MP2020-corrected energy?
A: CaTi2O6